1.
Below is FeSe after structural relaxation, with properties calculated at the GGA-PBE level.

a b c (Å): 4.337 4.337 3.022
angles (deg): 90.00 90.00 90.00
Atoms (fractional coordinates):
Fe  0.000  0.500  0.489
Fe  0.500  0.000  0.511
Se  0.000  0.000  0.000
Se  0.500  0.500  0.000

Computed properties:
Final energy in eV per cell: -22.92
ΔE_f in meV/atom: 16
Corrected total energy (MP2020 scheme) in eV/atom: -5.97
SG: P4/nmm

=====

2.
Below is RbSmTe2 after structural relaxation, with properties calculated at the GGA-PBE level.

a b c (Å): 4.609 4.609 8.949
angles (deg): 75.08 75.08 60.00
Atoms (fractional coordinates):
Te  0.766  0.766  0.703
Te  0.234  0.234  0.297
Sm  0.500  0.500  0.500
Rb  0.000  0.000  0.000

Computed properties:
Final energy in eV per cell: -17.58
ΔE_f in meV/atom: -1609
Corrected total energy (MP2020 scheme) in eV/atom: -4.61
SG: R-3m

=====

3.
Below is Na2ZrSi6H6O18 after structural relaxation, with properties calculated at the GGA-PBE level.

a b c (Å): 7.207 14.849 14.863
angles (deg): 90.00 90.00 90.00
Atoms (fractional coordinates):
O  0.508  0.589  0.640
O  0.304  0.613  0.491
O  0.720  0.750  0.355
O  0.678  0.374  0.015
O  0.992  0.082  0.885
O  0.492  0.089  0.360
O  0.304  0.887  0.491
O  0.282  0.250  0.125
O  0.995  0.362  0.096
O  0.718  0.250  0.625
O  0.477  0.250  0.928
O  0.005  0.862  0.904
O  0.523  0.750  0.072
O  0.523  0.250  0.428
O  0.696  0.613  0.991
O  0.280  0.750  0.855
O  0.005  0.638  0.904
O  0.709  0.917  0.811
O  0.709  0.417  0.689
O  0.008  0.418  0.385
O  0.291  0.583  0.311
O  0.008  0.582  0.115
O  0.879  0.250  0.810
O  0.291  0.917  0.311
O  0.707  0.577  0.309
O  0.992  0.918  0.615
O  0.322  0.626  0.985
O  0.322  0.874  0.985
O  0.322  0.126  0.515
O  0.492  0.411  0.360
O  0.304  0.387  0.009
O  0.696  0.887  0.991
O  0.121  0.750  0.190
O  0.293  0.077  0.691
O  0.720  0.250  0.145
O  0.291  0.083  0.189
O  0.707  0.923  0.309
O  0.696  0.387  0.509
O  0.709  0.083  0.689
O  0.678  0.626  0.485
O  0.678  0.126  0.015
O  0.995  0.638  0.404
O  0.280  0.250  0.645
O  0.707  0.423  0.191
O  0.008  0.082  0.385
O  0.707  0.077  0.191
O  0.322  0.374  0.515
O  0.282  0.750  0.375
O  0.508  0.911  0.640
O  0.492  0.911  0.140
O  0.696  0.113  0.509
O  0.293  0.923  0.809
O  0.005  0.138  0.596
O  0.995  0.138  0.096
O  0.995  0.862  0.404
O  0.992  0.582  0.615
O  0.293  0.577  0.809
O  0.508  0.089  0.860
O  0.508  0.411  0.860
O  0.678  0.874  0.485
O  0.879  0.750  0.690
O  0.121  0.250  0.310
O  0.992  0.418  0.885
O  0.709  0.583  0.811
O  0.718  0.750  0.875
O  0.492  0.589  0.140
O  0.293  0.423  0.691
O  0.477  0.750  0.572
O  0.304  0.113  0.009
O  0.005  0.362  0.596
O  0.291  0.417  0.189
O  0.008  0.918  0.115
Si  0.227  0.646  0.886
Si  0.227  0.146  0.614
Si  0.773  0.354  0.114
Si  0.507  0.858  0.047
Si  0.218  0.145  0.108
Si  0.782  0.355  0.608
Si  0.782  0.645  0.892
Si  0.493  0.142  0.953
Si  0.507  0.642  0.047
Si  0.218  0.855  0.392
Si  0.507  0.358  0.453
Si  0.782  0.855  0.892
Si  0.218  0.355  0.108
Si  0.218  0.645  0.392
Si  0.507  0.142  0.453
Si  0.493  0.642  0.547
Si  0.227  0.854  0.886
Si  0.773  0.854  0.386
Si  0.493  0.858  0.547
Si  0.493  0.358  0.953
Si  0.773  0.646  0.386
Si  0.782  0.145  0.608
Si  0.227  0.354  0.614
Si  0.773  0.146  0.114
H  0.901  0.918  0.074
H  0.057  0.804  0.166
H  0.057  0.196  0.334
H  0.901  0.082  0.426
H  0.943  0.696  0.666
H  0.099  0.582  0.574
H  0.117  0.082  0.424
H  0.883  0.918  0.576
H  0.117  0.582  0.076
H  0.901  0.582  0.074
H  0.099  0.918  0.574
H  0.099  0.418  0.926
H  0.099  0.082  0.926
H  0.943  0.196  0.834
H  0.943  0.804  0.666
H  0.117  0.918  0.076
H  0.883  0.082  0.924
H  0.057  0.696  0.166
H  0.943  0.304  0.834
H  0.901  0.418  0.426
H  0.883  0.418  0.924
H  0.117  0.418  0.424
H  0.883  0.582  0.576
H  0.057  0.304  0.334
Na  0.995  0.500  0.250
Na  0.561  0.750  0.731
Na  0.005  0.500  0.750
Na  0.005  0.000  0.750
Na  0.439  0.750  0.231
Na  0.995  0.000  0.250
Na  0.439  0.250  0.269
Na  0.561  0.250  0.769
Zr  0.496  0.000  0.250
Zr  0.504  0.500  0.750
Zr  0.504  0.000  0.750
Zr  0.496  0.500  0.250

Computed properties:
Final energy in eV per cell: -916.87
ΔE_f in meV/atom: -2679
Corrected total energy (MP2020 scheme) in eV/atom: -7.32
SG: Pbcm

=====

4.
Below is Pr2Co2SiC after structural relaxation, with properties calculated at the GGA-PBE level.

a b c (Å): 5.795 5.795 5.795
angles (deg): 140.14 117.23 76.99
Atoms (fractional coordinates):
Co  0.794  0.500  0.294
Co  0.206  0.500  0.706
Pr  0.690  0.190  0.500
Pr  0.310  0.810  0.500
C  0.500  0.500  0.000
Si  0.000  0.000  0.000

Computed properties:
Final energy in eV per cell: -41.05
ΔE_f in meV/atom: -435
SG: Immm

=====

5.
Below is Gd2AlFe3 after structural relaxation, with properties calculated at the GGA-PBE level.

a b c (Å): 5.227 5.227 5.227
angles (deg): 60.43 60.43 60.43
Atoms (fractional coordinates):
Al  0.000  0.000  0.000
Fe  0.000  0.000  0.500
Fe  0.500  0.000  0.000
Fe  0.000  0.500  0.000
Gd  0.377  0.377  0.377
Gd  0.623  0.623  0.623

Computed properties:
Final energy in eV per cell: -57.96
ΔE_f in meV/atom: -109
SG: R-3m

=====

6.
Below is Ca7CuPt2O12 after structural relaxation, with properties calculated at the GGA-PBE level.

a b c (Å): 6.604 6.604 6.557
angles (deg): 89.27 89.27 91.07
Atoms (fractional coordinates):
O  0.522  0.906  0.544
O  0.923  0.804  0.688
O  0.572  0.299  0.303
O  0.405  0.707  0.207
O  0.196  0.077  0.312
O  0.094  0.478  0.456
O  0.293  0.595  0.793
O  0.448  0.077  0.949
O  0.701  0.428  0.697
O  0.060  0.212  0.817
O  0.923  0.552  0.051
O  0.788  0.940  0.183
Ca  0.905  0.095  0.500
Ca  0.753  0.247  0.000
Ca  0.757  0.616  0.367
Ca  0.112  0.888  0.000
Ca  0.609  0.753  0.864
Ca  0.384  0.243  0.633
Ca  0.247  0.391  0.136
Pt  0.489  0.003  0.250
Pt  0.997  0.511  0.750
Cu  0.311  0.689  0.500

Computed properties:
Final energy in eV per cell: -136.09
ΔE_f in meV/atom: -2485
Corrected total energy (MP2020 scheme) in eV/atom: -6.56
SG: C2

=====

7.
Below is CuGe3 after structural relaxation, with properties calculated at the GGA-PBE level.

a b c (Å): 5.832 5.832 4.699
angles (deg): 90.00 90.00 120.00
Atoms (fractional coordinates):
Ge  0.827  0.653  0.750
Ge  0.173  0.827  0.250
Ge  0.653  0.827  0.250
Ge  0.347  0.173  0.750
Ge  0.827  0.173  0.750
Ge  0.173  0.347  0.250
Cu  0.333  0.667  0.750
Cu  0.667  0.333  0.250

Computed properties:
Final energy in eV per cell: -33.31
ΔE_f in meV/atom: 328
Offset from the most stable computed form in kJ per mole of atoms: 2.17
SG: P6_3/mmc

=====

8.
Below is Sr2PrNbO6 after structural relaxation, with properties calculated at the GGA-PBE level.

a b c (Å): 6.118 6.118 6.118
angles (deg): 60.00 60.00 60.00
Atoms (fractional coordinates):
Sr  0.250  0.250  0.250
Sr  0.750  0.750  0.750
Pr  0.500  0.500  0.500
O  0.768  0.232  0.232
O  0.768  0.768  0.232
O  0.232  0.768  0.232
O  0.232  0.768  0.768
O  0.768  0.232  0.768
O  0.232  0.232  0.768
Nb  0.000  0.000  0.000

Computed properties:
Final energy in eV per cell: -76.34
ΔE_f in meV/atom: -3251
Corrected total energy (MP2020 scheme) in eV/atom: -8.05
SG: Fm-3m

=====

9.
Below is Na7I2O5 after structural relaxation, with properties calculated at the GGA-PBE level.

a b c (Å): 7.689 7.689 10.461
angles (deg): 90.00 90.00 90.00
Atoms (fractional coordinates):
O  0.000  0.778  0.145
O  0.500  0.278  0.855
O  0.278  0.500  0.145
O  0.000  0.500  0.336
O  0.778  0.000  0.855
O  0.500  0.722  0.855
O  0.000  0.222  0.145
O  0.722  0.500  0.145
O  0.500  0.000  0.664
O  0.222  0.000  0.855
Na  0.750  0.250  0.000
Na  0.713  0.213  0.691
Na  0.213  0.287  0.309
Na  0.000  0.500  0.102
Na  0.287  0.787  0.691
Na  0.250  0.750  0.000
Na  0.500  0.000  0.898
Na  0.787  0.713  0.309
Na  0.787  0.287  0.309
Na  0.250  0.250  0.000
Na  0.213  0.713  0.309
Na  0.750  0.750  0.000
Na  0.287  0.213  0.691
Na  0.713  0.787  0.691
I  0.500  0.000  0.207
I  0.500  0.500  0.500
I  0.000  0.500  0.793
I  0.000  0.000  0.500

Computed properties:
Final energy in eV per cell: -95.63
ΔE_f in meV/atom: -1015
Corrected total energy (MP2020 scheme) in eV/atom: -3.66
SG: P4/nmm

=====

10.
Below is Li4SbTe3O12 after structural relaxation, with properties calculated at the GGA-PBE level.

a b c (Å): 5.302 5.609 7.728
angles (deg): 94.43 90.00 90.02
Atoms (fractional coordinates):
O  0.846  0.316  0.557
O  0.171  0.317  0.059
O  0.169  0.700  0.425
O  0.687  0.843  0.562
O  0.296  0.177  0.423
O  0.808  0.701  0.923
O  0.626  0.513  0.248
O  0.865  0.023  0.256
O  0.374  0.516  0.755
O  0.321  0.831  0.054
O  0.697  0.186  0.927
O  0.138  0.010  0.743
Sb  0.000  0.996  0.002
Li  0.505  0.922  0.793
Li  0.993  0.420  0.287
Li  0.498  0.951  0.269
Li  0.004  0.453  0.779
Te  0.500  0.492  0.004
Te  0.499  0.494  0.504
Te  0.000  0.996  0.502

Computed properties:
Final energy in eV per cell: -108.17
ΔE_f in meV/atom: -1792
Offset from the most stable computed form in kJ per mole of atoms: 2.50
Corrected total energy (MP2020 scheme) in eV/atom: -5.82
SG: P1

=====

11.
Below is EuNi5 after structural relaxation, with properties calculated at the GGA-PBE level.

a b c (Å): 5.007 5.007 3.890
angles (deg): 90.00 90.00 120.00
Atoms (fractional coordinates):
Ni  0.500  0.000  0.500
Ni  0.333  0.667  0.000
Ni  0.667  0.333  0.000
Ni  0.500  0.500  0.500
Ni  0.000  0.500  0.500
Eu  0.000  0.000  0.000

Computed properties:
Final energy in eV per cell: -39.90
ΔE_f in meV/atom: -125
SG: P6/mmm

=====

12.
Below is Ca5P3O13 after structural relaxation, with properties calculated at the GGA-PBE level.

a b c (Å): 9.537 9.537 6.916
angles (deg): 90.00 90.00 120.00
Atoms (fractional coordinates):
O  0.084  0.744  0.927
O  0.000  0.000  0.733
O  0.256  0.340  0.927
O  0.260  0.346  0.566
O  0.412  0.876  0.751
O  0.087  0.740  0.566
O  0.155  0.486  0.248
O  0.876  0.464  0.251
O  0.588  0.124  0.251
O  0.740  0.654  0.066
O  0.346  0.087  0.066
O  0.669  0.155  0.748
O  0.654  0.913  0.566
O  0.916  0.256  0.427
O  0.331  0.845  0.248
O  0.486  0.331  0.748
O  0.660  0.916  0.927
O  0.464  0.588  0.751
O  0.744  0.660  0.427
O  0.913  0.260  0.066
O  0.536  0.412  0.251
O  0.514  0.669  0.248
O  0.845  0.514  0.748
O  0.340  0.084  0.427
O  0.124  0.536  0.751
O  0.000  0.000  0.233
Ca  0.999  0.248  0.748
Ca  0.752  0.751  0.748
Ca  0.248  0.249  0.248
Ca  0.333  0.667  0.001
Ca  0.667  0.333  0.501
Ca  0.249  0.001  0.748
Ca  0.333  0.667  0.498
Ca  0.751  0.999  0.248
Ca  0.001  0.752  0.248
Ca  0.667  0.333  0.998
P  0.030  0.631  0.748
P  0.369  0.399  0.748
P  0.601  0.970  0.748
P  0.399  0.030  0.248
P  0.970  0.369  0.248
P  0.631  0.601  0.248

Computed properties:
Final energy in eV per cell: -299.56
ΔE_f in meV/atom: -3244
Corrected total energy (MP2020 scheme) in eV/atom: -7.56
SG: P6_3